Record 1
Computed, not measured: crystalline CsSi2SbO7 at its relaxed geometry at the meta-GGA r2SCAN level of DFT.

Cell: 7.1647 13.6376 21.0656 Å, 90.00 90.00 90.00°
Element x y z (fractional)
Cs: 0.2237 0.8422 0.8309
Cs: 0.2237 0.6578 0.3309
Cs: 0.2111 0.8689 0.1634
Cs: 0.7111 0.3689 0.3366
Cs: 0.2278 0.8564 0.5086
Cs: 0.7278 0.3564 0.9914
Cs: 0.7237 0.3422 0.6691
Cs: 0.7278 0.1436 0.4914
Cs: 0.2111 0.6311 0.6634
Cs: 0.2278 0.6436 0.0086
Cs: 0.7111 0.1311 0.8366
Cs: 0.7237 0.1578 0.1691
Si: 0.7004 0.6393 0.7300
Si: 0.2232 0.3818 0.9280
Si: 0.2232 0.1182 0.4280
Si: 0.7219 0.8495 0.4269
Si: 0.7541 0.6532 0.5838
Si: 0.7541 0.8468 0.0838
Si: 0.6999 0.8619 0.7508
Si: 0.7508 0.6271 0.4010
Si: 0.2219 0.1505 0.5731
Si: 0.2219 0.3495 0.0731
Si: 0.2541 0.1532 0.9162
Si: 0.2541 0.3468 0.4162
Si: 0.7232 0.6182 0.0720
Si: 0.1999 0.3619 0.7492
Si: 0.1999 0.1381 0.2492
Si: 0.7508 0.8729 0.9010
Si: 0.2508 0.1271 0.0990
Si: 0.2004 0.1393 0.7700
Si: 0.7004 0.8607 0.2300
Si: 0.2508 0.3729 0.5990
Si: 0.7219 0.6505 0.9269
Si: 0.6999 0.6381 0.2508
Si: 0.2004 0.3607 0.2700
Si: 0.7232 0.8818 0.5720
Sb: 0.9974 0.4956 0.4996
Sb: 0.4645 0.0169 0.6690
Sb: 0.9974 0.0044 0.9996
Sb: 0.4640 0.9858 0.3331
Sb: 0.9645 0.5169 0.8310
Sb: 0.9640 0.4858 0.1669
Sb: 0.9645 0.9831 0.3310
Sb: 0.9640 0.0142 0.6669
Sb: 0.4974 0.5044 0.5004
Sb: 0.4645 0.4831 0.1690
Sb: 0.4974 0.9956 0.0004
Sb: 0.4640 0.5142 0.8331
O: 0.8984 0.9550 0.5834
O: 0.7838 0.7295 0.0868
O: 0.0587 0.4276 0.5805
O: 0.7447 0.0538 0.0103
O: 0.0258 0.4297 0.2509
O: 0.7162 0.0754 0.6728
O: 0.9395 0.6134 0.5494
O: 0.7447 0.4462 0.5103
O: 0.2637 0.2336 0.0654
O: 0.0418 0.4079 0.8865
O: 0.2838 0.2295 0.4132
O: 0.7552 0.8872 0.1570
O: 0.0492 0.1343 0.6214
O: 0.8823 0.8751 0.2744
O: 0.6299 0.7526 0.7316
O: 0.5418 0.9079 0.6135
O: 0.5595 0.6243 0.5498
O: 0.1299 0.2526 0.7684
O: 0.9315 0.5620 0.4189
O: 0.5418 0.5921 0.1135
O: 0.2552 0.3872 0.3430
O: 0.3984 0.0450 0.4166
O: 0.2148 0.9570 0.6627
O: 0.2148 0.5430 0.1627
O: 0.2637 0.2664 0.5654
O: 0.4315 0.0620 0.0811
O: 0.9153 0.5977 0.9068
O: 0.3799 0.1077 0.2906
O: 0.7637 0.7664 0.9346
O: 0.1641 0.3901 0.0027
O: 0.3823 0.1249 0.7256
O: 0.7637 0.7336 0.4346
O: 0.2838 0.2705 0.9132
O: 0.3984 0.4550 0.9166
O: 0.8799 0.8923 0.7094
O: 0.6641 0.8901 0.4973
O: 0.5492 0.8657 0.3786
O: 0.7597 0.8579 0.8250
O: 0.5595 0.8757 0.0498
O: 0.4395 0.1134 0.9506
O: 0.2447 0.9462 0.9897
O: 0.3799 0.3923 0.7906
O: 0.5258 0.5703 0.7491
O: 0.1299 0.2474 0.2684
O: 0.5587 0.5724 0.4195
O: 0.2162 0.5754 0.8272
O: 0.0595 0.1243 0.9502
O: 0.2447 0.5538 0.4897
O: 0.0246 0.4368 0.7549
O: 0.7148 0.4570 0.8373
O: 0.0418 0.0921 0.3865
O: 0.4153 0.4023 0.0932
O: 0.0492 0.3657 0.1214
O: 0.8799 0.6077 0.2094
O: 0.4315 0.4380 0.5811
O: 0.0246 0.0632 0.2549
O: 0.2597 0.3579 0.6750
O: 0.5246 0.9368 0.7451
O: 0.2597 0.1421 0.1750
O: 0.7552 0.6128 0.6570
O: 0.8823 0.6249 0.7744
O: 0.2162 0.9246 0.3272
O: 0.0587 0.0724 0.0805
O: 0.7148 0.0430 0.3373
O: 0.6299 0.7474 0.2316
O: 0.9315 0.9380 0.9189
O: 0.0595 0.3757 0.4502
O: 0.7838 0.7705 0.5868
O: 0.8984 0.5450 0.0834
O: 0.7162 0.4246 0.1728
O: 0.5492 0.6343 0.8786
O: 0.0258 0.0703 0.7509
O: 0.2552 0.1128 0.8430
O: 0.6641 0.6099 0.9973
O: 0.5246 0.5632 0.2451
O: 0.9395 0.8866 0.0494
O: 0.5258 0.9297 0.2491
O: 0.3823 0.3751 0.2256
O: 0.4395 0.3866 0.4506
O: 0.9153 0.9023 0.4068
O: 0.7597 0.6421 0.3250
O: 0.1641 0.1099 0.5027
O: 0.5587 0.9276 0.9195
O: 0.4153 0.0977 0.5932

Output
* space group: Pna2_1 (33)
* calculated density: 4093 kg/m3
* ΔE_f: -2521 meV per atom
* M_tot: 0.0 μB per cell


Record 2
Computed, not measured: crystalline Cs3Se2O8 at its relaxed geometry at the meta-GGA r2SCAN level of DFT.

Cell: 6.3057 6.3057 8.2086 Å, 72.34 72.34 60.88°
Element x y z (fractional)
Cs: 0.0000 0.0000 0.0000
Cs: 0.1967 0.1967 0.3889
Cs: 0.8033 0.8033 0.6111
Se: 0.4356 0.4356 0.7697
Se: 0.5644 0.5644 0.2303
O: 0.3078 0.7333 0.6906
O: 0.6922 0.2667 0.3094
O: 0.2667 0.6922 0.3094
O: 0.7333 0.3078 0.6906
O: 0.3965 0.3965 0.9910
O: 0.6035 0.6035 0.0090
O: 0.2920 0.2920 0.7442
O: 0.7080 0.7080 0.2558

Output
* space group: C2/m (12)
* calculated density: 4259 kg/m3
* ΔE_f: -1289 meV per atom
* M_tot: 1.0 μB per cell


Record 3
Computed, not measured: crystalline CsVSeO5 at its relaxed geometry at the meta-GGA r2SCAN level of DFT.

Cell: 7.9084 7.8963 9.4772 Å, 87.39 90.00 90.00°
Element x y z (fractional)
Cs: 0.9916 0.8785 0.3904
Cs: 0.4916 0.1215 0.6096
Cs: 0.2570 0.4070 0.1344
Cs: 0.7570 0.5930 0.8656
V: 0.2989 0.5793 0.7315
V: 0.7989 0.4207 0.2685
V: 0.4313 0.9286 0.2355
V: 0.9313 0.0714 0.7645
Se: 0.0011 0.3793 0.5520
Se: 0.5011 0.6207 0.4480
Se: 0.7196 0.1168 0.0709
Se: 0.2196 0.8832 0.9291
O: 0.8927 0.5683 0.1703
O: 0.3927 0.4317 0.8297
O: 0.1605 0.6868 0.8741
O: 0.6605 0.3132 0.1259
O: 0.9278 0.2556 0.2900
O: 0.4278 0.7444 0.7100
O: 0.8619 0.5058 0.4562
O: 0.3619 0.4942 0.5438
O: 0.0671 0.5264 0.6666
O: 0.5671 0.4736 0.3334
O: 0.3290 0.0802 0.3104
O: 0.8290 0.9198 0.6896
O: 0.1213 0.0843 0.6893
O: 0.6213 0.9157 0.3107
O: 0.5201 0.0271 0.0574
O: 0.0201 0.9729 0.9426
O: 0.2584 0.8302 0.1015
O: 0.7584 0.1698 0.8985
O: 0.3534 0.7237 0.3401
O: 0.8534 0.2763 0.6599

Output
* space group: P2_1 (4)
* calculated density: 3851 kg/m3
* ΔE_f: -1882 meV per atom
* M_tot: 0.0 μB per cell


Record 4
Computed, not measured: crystalline Cs6Si2O7 at its relaxed geometry at the meta-GGA r2SCAN level of DFT.

Cell: 9.5746 7.1643 11.9925 Å, 53.71 90.00 90.00°
Element x y z (fractional)
Cs: 0.3544 0.5129 0.5980
Cs: 0.1456 0.5129 0.0980
Cs: 0.6456 0.4871 0.4020
Cs: 0.9745 0.7062 0.5445
Cs: 0.4745 0.2938 0.9555
Cs: 0.0255 0.2938 0.4555
Cs: 0.5255 0.7062 0.0445
Cs: 0.2734 0.8827 0.7287
Cs: 0.7734 0.1173 0.7713
Cs: 0.7266 0.1173 0.2713
Cs: 0.2266 0.8827 0.2287
Cs: 0.8544 0.4871 0.9020
Si: 0.6278 0.8419 0.6179
Si: 0.8722 0.8419 0.1179
Si: 0.3722 0.1581 0.3821
Si: 0.1278 0.1581 0.8821
O: 0.2682 0.9959 0.9376
O: 0.0000 0.0000 0.0000
O: 0.5000 0.0000 0.5000
O: 0.9243 0.7796 0.2662
O: 0.7682 0.0041 0.5624
O: 0.7318 0.0041 0.0624
O: 0.2318 0.9959 0.4376
O: 0.6529 0.6086 0.6252
O: 0.1529 0.3914 0.8748
O: 0.3471 0.3914 0.3748
O: 0.8471 0.6086 0.1252
O: 0.5757 0.7796 0.7662
O: 0.0757 0.2204 0.7338
O: 0.4243 0.2204 0.2338

Output
* space group: P2_1/c (14)
* calculated density: 4836 kg/m3
* ΔE_f: -2299 meV per atom
* M_tot: 0.0 μB per cell


Record 5
Computed, not measured: crystalline Cs2SiO3 at its relaxed geometry at the meta-GGA r2SCAN level of DFT.

Cell: 13.8977 6.8778 17.1307 Å, 71.59 90.00 90.00°
Element x y z (fractional)
Cs: 0.6564 0.4525 0.5085
Cs: 0.1564 0.5475 0.9915
Cs: 0.1908 0.8663 0.3080
Cs: 0.5865 0.2827 0.9674
Cs: 0.8925 0.0148 0.9143
Cs: 0.6075 0.0148 0.4143
Cs: 0.6908 0.1337 0.1920
Cs: 0.6223 0.8810 0.8646
Cs: 0.4135 0.7173 0.0326
Cs: 0.8777 0.8810 0.3646
Cs: 0.3092 0.8663 0.8080
Cs: 0.9876 0.3436 0.2179
Cs: 0.9135 0.2827 0.4674
Cs: 0.0124 0.6564 0.7821
Cs: 0.1223 0.1190 0.6354
Cs: 0.1075 0.9852 0.0857
Cs: 0.3925 0.9852 0.5857
Cs: 0.3777 0.1190 0.1354
Cs: 0.8436 0.4525 0.0085
Cs: 0.0865 0.7173 0.5326
Cs: 0.5124 0.3436 0.7179
Cs: 0.4876 0.6564 0.2821
Cs: 0.8092 0.1337 0.6920
Cs: 0.3436 0.5475 0.4915
Si: 0.6546 0.7239 0.1061
Si: 0.2538 0.4527 0.7213
Si: 0.1546 0.2761 0.3939
Si: 0.8659 0.8303 0.1344
Si: 0.7538 0.5473 0.7787
Si: 0.7462 0.5473 0.2787
Si: 0.2462 0.4527 0.2213
Si: 0.8454 0.7239 0.6061
Si: 0.6341 0.8303 0.6344
Si: 0.1341 0.1697 0.8656
Si: 0.3454 0.2761 0.8939
Si: 0.3659 0.1697 0.3656
O: 0.2266 0.6882 0.6744
O: 0.2984 0.3235 0.6662
O: 0.8619 0.5947 0.5438
O: 0.8441 0.6719 0.2296
O: 0.2734 0.6882 0.1744
O: 0.3441 0.3281 0.2704
O: 0.7591 0.8535 0.0858
O: 0.6559 0.6719 0.7296
O: 0.1559 0.3281 0.7704
O: 0.1713 0.4420 0.2992
O: 0.5707 0.8835 0.1082
O: 0.0707 0.1165 0.3918
O: 0.4408 0.2733 0.4122
O: 0.1030 0.9498 0.8598
O: 0.8287 0.5580 0.7008
O: 0.7734 0.3118 0.3256
O: 0.7409 0.8535 0.5858
O: 0.2409 0.1465 0.9142
O: 0.1381 0.4053 0.4562
O: 0.2016 0.3235 0.1662
O: 0.6030 0.0502 0.6402
O: 0.3287 0.4420 0.7992
O: 0.3970 0.9498 0.3598
O: 0.7266 0.3118 0.8256
O: 0.2591 0.1465 0.4142
O: 0.7984 0.6765 0.8338
O: 0.6713 0.5580 0.2008
O: 0.7016 0.6765 0.3338
O: 0.3619 0.4053 0.9562
O: 0.5592 0.7267 0.5878
O: 0.6381 0.5947 0.0438
O: 0.8970 0.0502 0.1402
O: 0.9293 0.8835 0.6082
O: 0.0592 0.2733 0.9122
O: 0.9408 0.7267 0.0878
O: 0.4293 0.1165 0.8918

Output
* space group: P2_1/c (14)
* calculated density: 4385 kg/m3
* ΔE_f: -2491 meV per atom
* M_tot: 0.0 μB per cell


In the order shown, the computed final energy values come out to -12.537; -12.961; -12.304; -16.300; -15.309 eV per atom.